Entry 1:
The following is a DFT calculation (PBE) of a relaxed KSnS2 crystal.

Structure (POSCAR):
```
KSnS2
1.0
2.002 1.156 7.554
-2.002 1.156 7.554
0.000 -2.312 7.554
K Sn S
1 1 2
Direct
0.000 0.000 0.000
0.833 0.833 0.833
0.233 0.233 0.233
0.432 0.432 0.432
```

Values from the calculation:
energy relative to the elements: -943.1 meV per atom
mass density: 3.5 Mg/m³
total magnetic moment: 0.01 μB/cell
calculated total energy: -16.159 eV/cell

Entry 2:
The following is a DFT calculation (PBE) of a relaxed BiS2 crystal.

Structure (POSCAR):
```
BiS2
1.0
-3.357 3.357 5.001
3.357 -3.357 5.001
3.357 3.357 -5.001
Bi S
2 4
Direct
0.000 0.000 0.000
0.750 0.250 0.500
0.109 0.125 0.484
0.375 0.891 0.016
0.641 0.625 0.516
0.875 0.359 0.984
```

Values from the calculation:
energy relative to the elements: -151.8 meV per atom
mass density: 4.0 Mg/m³
total magnetic moment: 2.00 μB/cell
calculated total energy: -23.224 eV/cell

Entry 3:
The following is a DFT calculation (PBE) of a relaxed InSbO3 crystal.

Structure (POSCAR):
```
InSbO3
1.0
4.106 0.000 0.000
0.000 4.106 0.000
0.000 0.000 4.106
In Sb O
1 1 3
Direct
0.000 0.000 0.000
0.500 0.500 0.500
0.000 0.500 0.500
0.500 0.000 0.500
0.500 0.500 0.000
```

Values from the calculation:
energy relative to the elements: -1416.2 meV per atom
mass density: 6.8 Mg/m³
total magnetic moment: 0.01 μB/cell
calculated total energy: -26.745 eV/cell

Entry 4:
The following is a DFT calculation (PBE) of a relaxed Na14Ti6Zn2Si9S3O48 crystal.

Structure (POSCAR):
```
Na14Ti6Zn2Si9S3O48
1.0
9.051 0.000 0.000
-0.002 15.595 0.000
-0.075 -0.081 22.020
Na Ti Zn Si S O
42 18 6 27 9 144
Direct
0.000 0.000 0.000
0.000 0.659 0.658
0.112 0.159 0.164
0.113 0.501 0.497
0.118 0.830 0.823
0.124 0.464 0.828
0.125 0.801 0.160
0.131 0.121 0.493
0.170 0.483 0.157
0.182 0.822 0.490
0.304 0.643 0.574
0.305 0.306 0.742
0.314 0.320 0.247
0.314 0.978 0.412
0.315 0.645 0.079
0.315 0.987 0.909
0.438 0.484 0.659
0.442 0.146 0.325
0.445 0.820 0.999
0.488 0.798 0.664
0.491 0.122 0.992
0.494 0.158 0.655
0.507 0.499 0.999
0.608 0.999 0.495
0.621 0.659 0.157
0.626 0.624 0.489
0.631 0.297 0.169
0.676 0.650 0.825
0.677 0.319 0.494
0.682 0.987 0.167
0.800 0.487 0.409
0.800 0.823 0.746
0.801 0.145 0.574
0.804 0.477 0.914
0.806 0.812 0.247
0.811 0.142 0.078
0.930 0.321 0.994
0.944 0.983 0.655
0.980 0.620 0.997
0.983 0.965 0.322
0.990 0.299 0.656
0.995 0.328 0.323
0.289 0.648 0.432
0.293 0.645 0.222
0.299 0.968 0.267
0.300 0.309 0.893
0.303 0.650 0.926
0.316 0.987 0.764
0.318 0.319 0.089
0.325 0.317 0.599
0.327 0.317 0.384
0.788 0.818 0.884
0.789 0.818 0.101
0.798 0.487 0.264
0.798 0.819 0.588
0.799 0.142 0.421
0.809 0.817 0.391
0.823 0.145 0.721
0.826 0.148 0.932
0.827 0.468 0.762
0.294 0.649 0.732
0.308 0.979 0.061
0.314 0.990 0.553
0.800 0.490 0.055
0.810 0.479 0.558
0.817 0.140 0.237
0.008 0.648 0.824
0.014 0.984 0.156
0.103 0.149 0.325
0.108 0.483 0.656
0.156 0.788 0.326
0.157 0.503 0.325
0.164 0.125 0.656
0.164 0.168 0.995
0.165 0.462 0.989
0.447 0.834 0.158
0.448 0.795 0.821
0.452 0.460 0.493
0.458 0.173 0.490
0.514 0.479 0.158
0.515 0.812 0.489
0.599 0.311 0.988
0.601 0.979 0.659
0.654 0.993 0.322
0.659 0.673 0.989
0.664 0.961 0.993
0.667 0.334 0.658
0.668 0.295 0.322
0.948 0.670 0.492
0.951 0.625 0.156
0.952 0.963 0.490
0.958 0.003 0.826
0.959 0.289 0.826
0.022 0.311 0.491
0.094 0.811 0.989
0.159 0.835 0.658
0.452 0.131 0.157
0.457 0.498 0.825
0.518 0.149 0.825
0.595 0.647 0.325
0.663 0.629 0.660
0.956 0.335 0.157
0.002 0.818 0.934
0.006 0.504 0.597
0.007 0.800 0.045
0.013 0.175 0.264
0.098 0.668 0.763
0.110 0.000 0.095
0.113 0.304 0.547
0.115 0.320 0.436
0.123 0.328 0.156
0.126 0.630 0.882
0.126 0.968 0.215
0.129 0.968 0.492
0.132 0.640 0.166
0.132 0.664 0.489
0.138 0.992 0.817
0.139 0.307 0.828
0.167 0.067 0.596
0.190 0.730 0.986
0.191 0.887 0.714
0.194 0.886 0.990
0.195 0.231 0.054
0.195 0.563 0.385
0.200 0.392 0.654
0.202 0.731 0.267
0.204 0.061 0.319
0.204 0.401 0.930
0.211 0.232 0.336
0.216 0.876 0.602
0.220 0.564 0.665
0.224 0.406 0.332
0.227 0.748 0.661
0.231 0.885 0.321
0.232 0.220 0.936
0.232 0.548 0.266
0.232 0.744 0.387
0.238 0.074 0.992
0.241 0.221 0.653
0.245 0.074 0.714
0.245 0.415 0.049
0.249 0.556 0.985
0.364 0.888 0.819
0.371 0.554 0.487
0.372 0.741 0.880
0.373 0.866 0.096
0.375 0.218 0.155
0.377 0.415 0.554
0.383 0.079 0.490
0.387 0.223 0.432
0.388 0.735 0.169
0.389 0.412 0.831
0.391 0.089 0.212
0.393 0.536 0.769
0.404 0.562 0.168
0.407 0.397 0.436
0.408 0.390 0.155
0.411 0.894 0.494
0.414 0.901 0.214
0.419 0.225 0.828
0.419 0.233 0.551
0.420 0.722 0.486
0.422 0.069 0.822
0.422 0.554 0.879
0.425 0.081 0.101
0.436 0.735 0.762
0.474 0.995 0.319
0.475 0.666 0.983
0.480 0.323 0.932
0.483 0.329 0.656
0.484 0.963 0.716
0.486 0.968 0.994
0.487 0.305 0.331
0.491 0.298 0.050
0.501 0.641 0.662
0.504 0.654 0.269
0.505 0.636 0.381
0.510 0.000 0.598
0.603 0.500 0.097
0.607 0.157 0.770
0.608 0.139 0.881
0.613 0.145 0.160
0.621 0.495 0.823
0.622 0.797 0.552
0.628 0.805 0.831
0.630 0.468 0.495
0.631 0.463 0.215
0.631 0.829 0.156
0.633 0.825 0.435
0.641 0.168 0.487
0.682 0.236 0.262
0.689 0.578 0.604
0.690 0.061 0.381
0.691 0.567 0.321
0.691 0.734 0.050
0.693 0.723 0.328
0.694 0.222 0.985
0.700 0.402 0.715
0.702 0.395 0.993
0.707 0.891 0.656
0.708 0.897 0.936
0.709 0.063 0.669
0.723 0.586 0.715
0.727 0.236 0.670
0.730 0.722 0.931
0.731 0.579 0.989
0.732 0.900 0.333
0.736 0.030 0.263
0.739 0.715 0.658
0.739 0.915 0.053
0.742 0.245 0.382
0.744 0.055 0.986
0.745 0.368 0.597
0.749 0.389 0.319
0.869 0.057 0.487
0.869 0.574 0.213
0.871 0.915 0.550
0.874 0.721 0.152
0.877 0.575 0.493
0.877 0.722 0.435
0.883 0.049 0.766
0.884 0.387 0.820
0.887 0.246 0.887
0.889 0.249 0.160
0.890 0.906 0.832
0.900 0.376 0.101
0.902 0.561 0.820
0.903 0.066 0.161
0.904 0.732 0.834
0.914 0.902 0.431
0.916 0.232 0.767
0.916 0.892 0.152
0.919 0.731 0.554
0.920 0.064 0.885
0.925 0.388 0.492
0.926 0.388 0.212
0.929 0.232 0.489
0.948 0.567 0.095
0.977 0.492 0.316
0.979 0.803 0.329
0.981 0.164 0.990
0.983 0.140 0.666
0.986 0.131 0.382
0.988 0.468 0.990
0.992 0.826 0.657
0.994 0.468 0.716
```

Values from the calculation:
energy relative to the elements: -2749.6 meV per atom
mass density: 3.0 Mg/m³
total magnetic moment: 0.00 μB/cell
calculated total energy: -1678.905 eV/cell